Crystalline CaGeBi2O6 at its relaxed geometry. Source: the Materials Project database, functional meta-GGA r2SCAN.

Structure (POSCAR):
```
CaGeBi2O6
1.0
0.000 3.996 3.996
3.996 0.000 3.996
3.996 3.996 0.000
O Ge Bi Ca
6 1 2 1
direct
0.269 0.269 0.731
0.731 0.731 0.269
0.269 0.731 0.731
0.269 0.731 0.269
0.731 0.269 0.269
0.731 0.269 0.731
0.500 0.500 0.500
0.250 0.250 0.250
0.750 0.750 0.750
0.000 0.000 0.000
```

As for the raw total energy: -18.943 eV per atom. The total magnetic moment is 0.000 μB per atom. For the mass density, the calculation gives 8.154 g/cm³. The calculation puts the energy of formation from the pure elements at -1.568 eV per atom. As for the space group: Fm-3m.


Crystalline Ca14MnBi11 at its relaxed geometry. Source: the Materials Project database, functional meta-GGA r2SCAN.

Structure (POSCAR):
```
Ca14MnBi11
1.0
-8.572 8.572 11.279
8.572 -8.572 11.279
8.572 8.572 -11.279
Ca Bi Mn
56 44 4
direct
0.443 0.604 0.481
0.271 0.375 0.396
0.621 0.755 0.783
0.039 0.557 0.161
0.625 0.021 0.896
0.125 0.229 0.604
0.254 0.150 0.149
0.125 0.729 0.104
0.627 0.289 0.981
0.005 0.371 0.283
0.395 0.499 0.149
0.754 0.605 0.103
0.277 0.995 0.366
0.479 0.875 0.104
0.854 0.193 0.981
0.625 0.521 0.396
0.900 0.251 0.397
0.121 0.339 0.866
0.745 0.879 0.217
0.505 0.223 0.634
0.501 0.650 0.897
0.661 0.527 0.783
0.896 0.057 0.519
0.396 0.877 0.839
0.350 0.246 0.851
0.539 0.377 0.481
0.771 0.375 0.896
0.354 0.373 0.661
0.711 0.693 0.339
0.496 0.100 0.351
0.973 0.839 0.217
0.400 0.004 0.649
0.001 0.105 0.851
0.355 0.751 0.351
0.249 0.600 0.603
0.629 0.911 0.634
0.245 0.027 0.866
0.211 0.873 0.019
0.895 0.746 0.897
0.749 0.145 0.649
0.623 0.104 0.161
0.979 0.875 0.604
0.855 0.504 0.603
0.943 0.461 0.839
0.129 0.495 0.717
0.996 0.645 0.397
0.777 0.411 0.283
0.161 0.379 0.134
0.123 0.961 0.519
0.589 0.871 0.366
0.307 0.646 0.019
0.807 0.789 0.661
0.127 0.146 0.339
0.850 0.999 0.103
0.089 0.723 0.717
0.473 0.255 0.134
0.355 0.208 0.407
0.673 0.319 0.365
0.500 0.000 0.500
0.000 0.500 0.500
0.458 0.105 0.907
0.681 0.045 0.353
0.795 0.942 0.865
0.958 0.051 0.353
0.792 0.199 0.147
0.292 0.145 0.593
0.387 0.387 0.275
0.637 0.137 0.775
0.137 0.363 0.500
0.863 0.637 0.500
0.069 0.205 0.147
0.613 0.887 0.000
0.198 0.551 0.093
0.895 0.802 0.353
0.449 0.542 0.647
0.395 0.042 0.093
0.801 0.948 0.593
0.577 0.442 0.147
0.113 0.113 0.725
0.569 0.423 0.865
0.301 0.708 0.853
0.692 0.327 0.647
0.052 0.645 0.853
0.295 0.431 0.853
0.192 0.545 0.365
0.455 0.819 0.647
0.250 0.250 0.000
0.855 0.448 0.147
0.077 0.931 0.135
0.058 0.923 0.853
0.887 0.613 0.000
0.552 0.699 0.407
0.698 0.605 0.647
0.750 0.750 0.000
0.181 0.827 0.635
0.558 0.705 0.135
0.955 0.308 0.635
0.363 0.863 0.225
0.173 0.808 0.353
0.949 0.302 0.907
0.000 0.000 0.000
0.250 0.750 0.500
0.750 0.250 0.500
0.500 0.500 0.000
```

As for the raw total energy: -30.101 eV per atom. The total magnetic moment is 0.162 μB per atom. For the mass density, the calculation gives 5.840 g/cm³. The calculation puts the energy of formation from the pure elements at -0.996 eV per atom. As for the space group: I4_1/acd.


Crystalline NaCa2Nb8Bi9O36 at its relaxed geometry. Source: the Materials Project database, functional meta-GGA r2SCAN.

Structure (POSCAR):
```
NaCa2Nb8Bi9O36
1.0
-7.247 -1.919 -23.844
-2.351 -4.833 1.103
-4.759 2.569 1.240
Nb Bi O Na Ca
8 9 36 1 2
direct
0.918 0.256 0.271
0.584 0.746 0.273
0.082 0.743 0.772
0.918 0.743 0.772
0.416 0.746 0.273
0.082 0.256 0.271
0.416 0.241 0.768
0.584 0.241 0.768
0.801 0.222 0.702
0.199 0.222 0.702
0.299 0.724 0.705
0.700 0.281 0.201
0.701 0.724 0.705
0.300 0.281 0.201
0.500 0.235 0.224
0.801 0.779 0.204
0.199 0.779 0.204
0.845 0.830 0.798
0.752 0.514 0.981
0.750 0.013 0.981
0.939 0.044 0.011
0.657 0.676 0.287
0.088 0.561 0.104
0.845 0.172 0.300
0.591 0.949 0.596
0.939 0.958 0.511
0.088 0.441 0.604
0.155 0.830 0.798
0.912 0.561 0.104
0.500 0.834 0.322
0.000 0.335 0.324
0.751 0.987 0.482
0.343 0.676 0.287
0.751 0.488 0.481
0.409 0.949 0.596
0.657 0.327 0.806
0.061 0.958 0.511
0.249 0.488 0.481
0.000 0.666 0.824
0.249 0.987 0.482
0.563 0.539 0.013
0.437 0.539 0.013
0.565 0.459 0.509
0.155 0.172 0.300
0.435 0.459 0.509
0.248 0.514 0.981
0.061 0.044 0.011
0.500 0.171 0.826
0.414 0.062 0.105
0.586 0.062 0.105
0.250 0.013 0.981
0.343 0.327 0.806
0.912 0.441 0.604
0.500 0.737 0.742
0.000 0.758 0.240
0.000 0.242 0.739
```

As for the raw total energy: -19.389 eV per atom. The total magnetic moment is 0.000 μB per atom. For the mass density, the calculation gives 7.208 g/cm³. The calculation puts the energy of formation from the pure elements at -2.299 eV per atom. As for the space group: Pm.


Crystalline Ca3Bi2O7 at its relaxed geometry. Source: the Materials Project database, functional meta-GGA r2SCAN.

Structure (POSCAR):
```
Ca3Bi2O7
1.0
-9.405 -0.511 4.643
5.609 -0.869 -8.835
0.883 -5.892 1.140
Ca O Bi
6 14 4
direct
0.770 0.770 0.806
0.436 0.045 0.182
0.045 0.436 0.182
0.230 0.230 0.306
0.955 0.564 0.682
0.564 0.955 0.682
0.983 0.137 0.059
0.309 0.580 0.452
0.580 0.309 0.452
0.691 0.420 0.952
0.335 0.926 0.806
0.611 0.611 0.177
0.420 0.691 0.952
0.074 0.665 0.306
0.665 0.074 0.306
0.137 0.983 0.059
0.389 0.389 0.677
0.017 0.863 0.559
0.863 0.017 0.559
0.926 0.335 0.806
0.642 0.849 0.249
0.358 0.151 0.749
0.849 0.642 0.249
0.151 0.358 0.749
```

As for the raw total energy: -17.179 eV per atom. The total magnetic moment is 0.000 μB per atom. For the mass density, the calculation gives 6.061 g/cm³. The calculation puts the energy of formation from the pure elements at -2.185 eV per atom. As for the space group: Cmc2_1.


Number 3 is which compound?
NaCa2Nb8Bi9O36


Among the records above, which one has the highest mass density?
CaGeBi2O6